No. 1
Here is crystalline SiO2 at its relaxed geometry from Materials Project. Energies are from PBE.

Properties
Total DFT energy (no corrections): -7.7775 eV/atom
Energy of formation from the pure elements: -3128.4 meV per atom
Size of the total moment: 0.00 μB per cell
Corrected total energy (MP2020 scheme): -8.24 eV/atom
Space group: I-43m (217)

Geometry as POSCAR:
```
SiO2
1.0
-8.973 8.973 8.973
8.973 -8.973 8.973
8.973 8.973 -8.973
O Si
48 24
Cartesian
8.139 1.697 4.490 O
8.973 0.000 6.347 O
6.347 8.973 0.000 O
8.090 -2.569 2.569 O
0.883 6.404 6.404 O
8.973 2.627 0.000 O
4.490 -1.697 9.807 O
6.404 6.404 0.883 O
4.483 7.277 -0.834 O
1.697 8.139 4.490 O
6.404 0.883 6.404 O
4.483 0.834 10.670 O
0.000 8.973 2.627 O
1.697 4.490 8.139 O
9.807 4.490 -1.697 O
8.139 4.490 1.697 O
2.627 0.000 8.973 O
4.490 8.139 1.697 O
-0.834 4.483 7.277 O
2.569 8.090 -2.569 O
7.277 4.483 -0.834 O
6.347 0.000 8.973 O
-1.697 9.807 4.490 O
4.483 -0.834 7.277 O
0.834 4.483 10.670 O
4.490 9.807 -1.697 O
-0.834 7.277 4.483 O
2.569 -2.569 8.090 O
7.277 -0.834 4.483 O
-2.569 2.569 8.090 O
8.973 6.347 0.000 O
0.000 6.347 8.973 O
2.627 8.973 0.000 O
-2.569 8.090 2.569 O
0.834 10.670 4.483 O
4.483 10.670 0.834 O
4.490 1.697 8.139 O
0.000 8.973 6.347 O
2.569 9.856 2.569 O
8.090 2.569 -2.569 O
0.000 2.627 8.973 O
-1.697 4.490 9.807 O
10.670 0.834 4.483 O
2.569 2.569 9.856 O
8.973 0.000 2.627 O
9.856 2.569 2.569 O
10.670 4.483 0.834 O
9.807 -1.697 4.490 O
-1.327 3.507 8.520 Si
-1.327 8.520 3.507 Si
5.466 7.646 0.453 Si
-0.453 5.466 10.300 Si
10.300 -0.453 5.466 Si
7.646 5.466 0.453 Si
0.453 7.646 5.466 Si
5.466 0.453 7.646 Si
9.426 1.327 3.507 Si
1.327 9.426 3.507 Si
10.300 5.466 -0.453 Si
-0.453 10.300 5.466 Si
3.507 -1.327 8.520 Si
1.327 3.507 9.426 Si
5.466 -0.453 10.300 Si
9.426 3.507 1.327 Si
8.520 -1.327 3.507 Si
3.507 8.520 -1.327 Si
7.646 0.453 5.466 Si
8.520 3.507 -1.327 Si
0.453 5.466 7.646 Si
5.466 10.300 -0.453 Si
3.507 1.327 9.426 Si
3.507 9.426 1.327 Si
```

---

No. 2
Here is crystalline Rb3Hf at its relaxed geometry from Materials Project. Energies are from PBE.

Properties
Total DFT energy (no corrections): -2.0145 eV/atom
Energy of formation from the pure elements: 1210.2 meV per atom
Size of the total moment: 1.59 μB per cell
Energy above the lowest structure with this stoichiometry: 42.3 meV/atom
Space group: I4/mmm (139)

Geometry as POSCAR:
```
Rb3Hf
1.0
-2.255 4.017 5.940
-5.887 4.201 -2.048
1.352 -7.352 -0.785
Hf Rb
1 3
Cartesian
0.000 0.000 0.000 Hf
-2.487 0.387 3.550 Rb
-4.303 0.479 -0.444 Rb
-4.071 4.109 1.946 Rb
```

---

No. 3
Here is crystalline CaFe5As3 at its relaxed geometry from Materials Project. Energies are from PBE.

Properties
Total DFT energy (no corrections): -6.7735 eV/atom
Energy of formation from the pure elements: -292.1 meV per atom
Size of the total moment: 15.01 μB per cell
Space group: P2_1/m (11)

Geometry as POSCAR:
```
CaFe5As3
1.0
-3.751 0.391 0.575
0.301 -4.947 5.322
1.724 5.499 7.512
Fe As Ca
10 6 2
Cartesian
0.970 2.534 10.934 Fe
0.192 1.200 6.763 Fe
-0.833 1.425 12.575 Fe
0.072 3.117 4.681 Fe
-1.388 3.749 7.380 Fe
-2.696 -1.591 2.475 Fe
-0.338 -2.806 6.029 Fe
-0.892 -0.482 0.833 Fe
-1.798 -2.174 8.728 Fe
-1.917 -0.257 6.646 Fe
-2.518 0.804 2.004 As
0.628 2.733 8.565 As
0.105 -1.041 7.716 As
-1.830 1.983 5.693 As
0.793 0.139 11.404 As
-2.353 -1.791 4.844 As
-0.361 0.140 3.876 Ca
-1.365 0.802 9.533 Ca
```

---

No. 4
Here is crystalline NdCoRu at its relaxed geometry from Materials Project. Energies are from PBE.

Properties
Total DFT energy (no corrections): -7.1532 eV/atom
Energy of formation from the pure elements: -102.9 meV per atom
Size of the total moment: 2.20 μB per cell
Space group: Imma (74)

Geometry as POSCAR:
```
NdCoRu
1.0
1.140 -5.199 -0.553
-1.793 2.955 -4.085
3.171 3.637 -2.206
Co Nd Ru
2 2 2
Cartesian
2.814 1.041 -3.808 Co
1.229 -0.777 -2.705 Co
1.303 3.655 -4.859 Nd
-1.777 2.944 -4.082 Nd
0.659 1.822 -2.428 Ru
0.333 0.700 -4.747 Ru
```